# 1
Computed, not measured: a geometry-optimized Na9TaZn5P6S3O36 structure at the PBE level of DFT.

abc: 9.0322 9.0322 22.0996
angles: 90.22 90.22 59.85
Sites, in units of the cell vectors:
Na (0.1264, 0.5075, 0.9990)
Na (0.1279, 0.8721, 0.5000)
Na (0.1577, 0.1699, 0.9136)
Na (0.1699, 0.1577, 0.4136)
Na (0.1699, 0.8022, 0.1720)
Na (0.1860, 0.4745, 0.3337)
Na (0.4745, 0.1860, 0.8337)
Na (0.4858, 0.5169, 0.7496)
Na (0.5075, 0.1264, 0.4990)
Na (0.5072, 0.8758, 0.0001)
Na (0.5169, 0.4858, 0.2496)
Na (0.5382, 0.8038, 0.6726)
Na (0.8022, 0.1699, 0.6720)
Na (0.8038, 0.5382, 0.1726)
Na (0.8225, 0.8514, 0.0852)
Na (0.8514, 0.8225, 0.5852)
Na (0.8721, 0.1279, 0.0000)
Na (0.8758, 0.5072, 0.5001)
Ta (0.5030, 0.5066, 0.8998)
Ta (0.5066, 0.5030, 0.3998)
Zn (0.1594, 0.1733, 0.7751)
Zn (0.1689, 0.1729, 0.5677)
Zn (0.1733, 0.1594, 0.2751)
Zn (0.1729, 0.1689, 0.0677)
Zn (0.4981, 0.5044, 0.5961)
Zn (0.5044, 0.4981, 0.0961)
Zn (0.8274, 0.8447, 0.2516)
Zn (0.8331, 0.8401, 0.4291)
Zn (0.8401, 0.8331, 0.9291)
Zn (0.8447, 0.8274, 0.7516)
P (0.1335, 0.8375, 0.3375)
P (0.1340, 0.5373, 0.8388)
P (0.2075, 0.7972, 0.0067)
P (0.2081, 0.5049, 0.5036)
P (0.5049, 0.2081, 0.0036)
P (0.5049, 0.7965, 0.5067)
P (0.5373, 0.1340, 0.3388)
P (0.5381, 0.8370, 0.8361)
P (0.7965, 0.5049, 0.0067)
P (0.7972, 0.2075, 0.5067)
P (0.8375, 0.1335, 0.8375)
P (0.8370, 0.5381, 0.3361)
S (0.1687, 0.8750, 0.6690)
S (0.1703, 0.4666, 0.1698)
S (0.4666, 0.1703, 0.6698)
S (0.4669, 0.8748, 0.1689)
S (0.8750, 0.1687, 0.1690)
S (0.8748, 0.4669, 0.6689)
O (0.0111, 0.6416, 0.1719)
O (0.0114, 0.8618, 0.6745)
O (0.0265, 0.6621, 0.4967)
O (0.0286, 0.8181, 0.9985)
O (0.0320, 0.8559, 0.3953)
O (0.0351, 0.6123, 0.8978)
O (0.0612, 0.6480, 0.7830)
O (0.0636, 0.7916, 0.2805)
O (0.1453, 0.9741, 0.6116)
O (0.1502, 0.3843, 0.1139)
O (0.1636, 0.9878, 0.3315)
O (0.1757, 0.3497, 0.8327)
O (0.1847, 0.3682, 0.2246)
O (0.1929, 0.9631, 0.7211)
O (0.2003, 0.9723, 0.0048)
O (0.2012, 0.3361, 0.5041)
O (0.2839, 0.6944, 0.0649)
O (0.2878, 0.5373, 0.5591)
O (0.3194, 0.6654, 0.3458)
O (0.3223, 0.4904, 0.1670)
O (0.3226, 0.5181, 0.8464)
O (0.3249, 0.4848, 0.4467)
O (0.3277, 0.7024, 0.6657)
O (0.3319, 0.6902, 0.9525)
O (0.3361, 0.2012, 0.0041)
O (0.3358, 0.9720, 0.5053)
O (0.3497, 0.1757, 0.3327)
O (0.3564, 0.9644, 0.2206)
O (0.3580, 0.9958, 0.8309)
O (0.3682, 0.1847, 0.7246)
O (0.3843, 0.1502, 0.6139)
O (0.3904, 0.9669, 0.1108)
O (0.4826, 0.6996, 0.1677)
O (0.4848, 0.3249, 0.9467)
O (0.4855, 0.6909, 0.4523)
O (0.4904, 0.3223, 0.6670)
O (0.5181, 0.3226, 0.3464)
O (0.5185, 0.6722, 0.8460)
O (0.5338, 0.6929, 0.5647)
O (0.5373, 0.2878, 0.0591)
O (0.6123, 0.0351, 0.3978)
O (0.6205, 0.8643, 0.8930)
O (0.6416, 0.0111, 0.6719)
O (0.6426, 0.8499, 0.1734)
O (0.6444, 0.8012, 0.7781)
O (0.6480, 0.0612, 0.2830)
O (0.6621, 0.0265, 0.9967)
O (0.6632, 0.8160, 0.4982)
O (0.6654, 0.3194, 0.8458)
O (0.6722, 0.5185, 0.3460)
O (0.6902, 0.3319, 0.4525)
O (0.6909, 0.4855, 0.9523)
O (0.6929, 0.5338, 0.0647)
O (0.6944, 0.2839, 0.5649)
O (0.6996, 0.4826, 0.6677)
O (0.7024, 0.3277, 0.1658)
O (0.7916, 0.0636, 0.7805)
O (0.8012, 0.6444, 0.2781)
O (0.8160, 0.6632, 0.9982)
O (0.8181, 0.0286, 0.4985)
O (0.8499, 0.6426, 0.6734)
O (0.8559, 0.0320, 0.8953)
O (0.8618, 0.0114, 0.1745)
O (0.8643, 0.6205, 0.3930)
O (0.9631, 0.1929, 0.2211)
O (0.9644, 0.3564, 0.7206)
O (0.9669, 0.3904, 0.6108)
O (0.9723, 0.2003, 0.5048)
O (0.9720, 0.3358, 0.0053)
O (0.9741, 0.1453, 0.1116)
O (0.9878, 0.1636, 0.8315)
O (0.9958, 0.3580, 0.3309)

Calculated values
**Crystal system**: monoclinic
**Formation enthalpy at 0 K**: -2.394 eV per atom
**E (MP2020)**: -6.61 eV per atom
**Uncorrected energy**: -6.2001 eV/atom



# 2
Computed, not measured: a geometry-optimized KNa3Al4Si4O16 structure at the PBE level of DFT.

abc: 10.1384 10.1384 8.5258
angles: 90.00 90.00 120.00
Sites, in units of the cell vectors:
K (0.0000, 0.0000, 0.0000)
K (0.0000, 0.0000, 0.5000)
Na (0.0091, 0.4503, 0.4967)
Na (0.4412, 0.9909, 0.4967)
Na (0.4503, 0.4412, 0.9967)
Na (0.5497, 0.5588, 0.4967)
Na (0.5588, 0.0091, 0.9967)
Na (0.9909, 0.5497, 0.9967)
Al (0.0935, 0.3328, 0.8089)
Al (0.2393, 0.9065, 0.8089)
Al (0.3328, 0.2393, 0.3089)
Al (0.3333, 0.6667, 0.2993)
Al (0.6667, 0.3333, 0.7993)
Al (0.6672, 0.7607, 0.8089)
Al (0.7607, 0.0935, 0.3089)
Al (0.9065, 0.6672, 0.3089)
Si (0.0940, 0.3333, 0.1815)
Si (0.2393, 0.9060, 0.1815)
Si (0.3333, 0.2393, 0.6815)
Si (0.3333, 0.6667, 0.6931)
Si (0.6667, 0.3333, 0.1931)
Si (0.6667, 0.7607, 0.1815)
Si (0.7607, 0.0940, 0.6815)
Si (0.9060, 0.6667, 0.6815)
O (0.0264, 0.3147, 0.0029)
O (0.0420, 0.7779, 0.8027)
O (0.0587, 0.7747, 0.1796)
O (0.1609, 0.5096, 0.2375)
O (0.1718, 0.5240, 0.7542)
O (0.2221, 0.2641, 0.8027)
O (0.2253, 0.2840, 0.1796)
O (0.2641, 0.0420, 0.3027)
O (0.2840, 0.0587, 0.6796)
O (0.2882, 0.9736, 0.0029)
O (0.3147, 0.2882, 0.5029)
O (0.3333, 0.6667, 0.5029)
O (0.3487, 0.8391, 0.2375)
O (0.3521, 0.8282, 0.7542)
O (0.4760, 0.6479, 0.7542)
O (0.4904, 0.6513, 0.2375)
O (0.5096, 0.3487, 0.7375)
O (0.5240, 0.3521, 0.2542)
O (0.6479, 0.1718, 0.2542)
O (0.6513, 0.1609, 0.7375)
O (0.6667, 0.3333, 0.0029)
O (0.6853, 0.7118, 0.0029)
O (0.7118, 0.0264, 0.5029)
O (0.7160, 0.9413, 0.1796)
O (0.7359, 0.9580, 0.8027)
O (0.7747, 0.7160, 0.6796)
O (0.7779, 0.7359, 0.3027)
O (0.8282, 0.4760, 0.2542)
O (0.8391, 0.4904, 0.7375)
O (0.9413, 0.2253, 0.6796)
O (0.9580, 0.2221, 0.3027)
O (0.9736, 0.6853, 0.5029)

Calculated values
**Crystal system**: hexagonal
**Formation enthalpy at 0 K**: -3.158 eV per atom
**E (MP2020)**: -7.48 eV per atom
**Uncorrected energy**: -7.0839 eV/atom



# 3
Computed, not measured: a geometry-optimized ThSnAu2 structure at the PBE level of DFT.

abc: 7.2147 7.2147 7.2147
angles: 90.00 90.00 90.00
Sites, in units of the cell vectors:
Th (0.0000, 0.0000, 0.0000)
Th (0.0000, 0.5000, 0.5000)
Th (0.5000, 0.0000, 0.5000)
Th (0.5000, 0.5000, 0.0000)
Sn (0.0000, 0.0000, 0.5000)
Sn (0.0000, 0.5000, 0.0000)
Sn (0.5000, 0.0000, 0.0000)
Sn (0.5000, 0.5000, 0.5000)
Au (0.2500, 0.2500, 0.2500)
Au (0.2500, 0.2500, 0.7500)
Au (0.2500, 0.7500, 0.2500)
Au (0.2500, 0.7500, 0.7500)
Au (0.7500, 0.2500, 0.2500)
Au (0.7500, 0.2500, 0.7500)
Au (0.7500, 0.7500, 0.2500)
Au (0.7500, 0.7500, 0.7500)

Calculated values
**Crystal system**: cubic
**Formation enthalpy at 0 K**: -0.643 eV per atom
**Uncorrected energy**: -5.1353 eV/atom



What is the formation enthalpy at 0 K in the first record? -2.394 eV per atom



Look up the formation enthalpy at 0 K of the second one. -3.158 eV per atom



The lowest uncorrected energy belongs to which entry? KNa3Al4Si4O16



Among the records above, which one has the lowest uncorrected energy? KNa3Al4Si4O16